DFT (PBE) results for a relaxed Te8MoW3 crystal.

The structure in CIF format:
```
data_Te8MoW3
_symmetry_space_group_name_H-M 'P 1'
_symmetry_Int_Tables_number 1
_symmetry_space_group_name_Hall 'P 1'
_cell_length_a 3.5590
_cell_length_b 3.5590
_cell_length_c 40.1482
_cell_angle_alpha 90.00
_cell_angle_beta 90.00
_cell_angle_gamma 120.00
loop_
_atom_site_label
_atom_site_fract_x
_atom_site_fract_y
_atom_site_fract_z
_atom_site_occupancy
Te1 0.0000 0.0000 0.0000 1
Te2 0.0000 0.0000 0.0902 1
Te3 0.0000 0.0000 0.3756 1
Te4 0.0000 0.0000 0.4661 1
Te5 0.6667 0.3333 0.1877 1
Te6 0.6667 0.3333 0.2783 1
Te7 0.6667 0.3333 0.5634 1
Te8 0.6667 0.3333 0.6540 1
Mo1 0.6667 0.3333 0.0451 1
W1 0.0000 0.0000 0.2330 1
W2 0.0000 0.0000 0.6087 1
W3 0.6667 0.3333 0.4209 1
```

Results
Crystal system: trigonal
Theoretical density (g cm⁻³): 6.29
VASP energy (eV/atom): -6.37